Entry 1:
# Rb2U6Pd4S17, relaxed, DFT PBE
# Crystal system = tetragonal
data_Rb2U6Pd4S17
_cell_length_a 10.3124
_cell_length_b 10.3124
_cell_length_c 12.7146
_cell_angle_alpha 90.00
_cell_angle_beta 90.00
_cell_angle_gamma 90.00
_space_group_name_H-M_alt 'P 4/m n c'
_space_group_IT_number 128
_space_group_name_Hall '-P 4 2n'
loop_
_atom_site_label
_atom_site_type_symbol
_atom_site_fract_x
_atom_site_fract_y
_atom_site_fract_z
_atom_site_occupancy
Rb1 Rb 0.0000 0.0000 0.2155 1
U1 U 0.0000 0.5000 0.2500 1
U2 U 0.1182 0.2388 0.5000 1
Pd1 Pd 0.0640 0.6385 0.0000 1
S1 S 0.0000 0.0000 0.5000 1
S2 S 0.0816 0.2935 0.1337 1
S3 S 0.0898 0.7244 0.3673 1

Entry 2:
# NaO, relaxed, DFT PBE
# Crystal system = orthorhombic
data_NaO
_cell_length_a 3.3375
_cell_length_b 8.6330
_cell_length_c 3.5176
_cell_angle_alpha 90.00
_cell_angle_beta 90.00
_cell_angle_gamma 90.00
_space_group_name_H-M_alt 'C m c m'
_space_group_IT_number 63
_space_group_name_Hall '-C 2c 2'
loop_
_atom_site_label
_atom_site_type_symbol
_atom_site_fract_x
_atom_site_fract_y
_atom_site_fract_z
_atom_site_occupancy
Na1 Na 0.0000 0.1231 0.2500 1
O1 O 0.0000 0.4061 0.2500 1

Entry 3:
# NdP5O14, relaxed, DFT PBE
# Crystal system = orthorhombic
data_NdP5O14
_cell_length_a 13.1844
_cell_length_b 8.9156
_cell_length_c 9.1738
_cell_angle_alpha 90.00
_cell_angle_beta 90.00
_cell_angle_gamma 90.00
_space_group_name_H-M_alt 'P m n a'
_space_group_IT_number 53
_space_group_name_Hall '-P 2ac 2'
loop_
_atom_site_label
_atom_site_type_symbol
_atom_site_fract_x
_atom_site_fract_y
_atom_site_fract_z
_atom_site_occupancy
Nd1 Nd 0.0000 0.2233 0.1885 1
P1 P 0.0000 0.1849 0.7537 1
P2 P 0.1638 0.2636 0.5486 1
P3 P 0.1746 0.5000 0.0000 1
P4 P 0.2034 0.0000 0.0000 1
O1 O 0.0000 0.0312 0.6893 1
O2 O 0.0000 0.2123 0.9135 1
O3 O 0.0938 0.2843 0.6868 1
O4 O 0.1124 0.2734 0.4060 1
O5 O 0.1199 0.4185 0.1176 1
O6 O 0.1497 0.0864 0.1151 1
O7 O 0.2176 0.1095 0.5848 1
O8 O 0.2456 0.3878 0.5819 1

Entry 4:
# KTbH2C2SO9, relaxed, DFT PBE
# Crystal system = monoclinic
data_KTbH2C2SO9
_cell_length_a 6.6241
_cell_length_b 8.6816
_cell_length_c 14.7795
_cell_angle_alpha 90.00
_cell_angle_beta 112.93
_cell_angle_gamma 90.00
_space_group_name_H-M_alt 'P 1 21/c 1'
_space_group_IT_number 14
_space_group_name_Hall '-P 2ybc'
loop_
_atom_site_label
_atom_site_type_symbol
_atom_site_fract_x
_atom_site_fract_y
_atom_site_fract_z
_atom_site_occupancy
K1 K 0.0338 0.1514 0.3020 1
Tb1 Tb 0.3300 0.2418 0.5866 1
H1 H 0.0390 0.0405 0.9182 1
H2 H 0.2767 0.0332 0.9202 1
C1 C 0.3638 0.5332 0.7319 1
C2 C 0.4168 0.0345 0.7798 1
S1 S 0.2598 0.6623 0.0235 1
O1 O 0.0472 0.7317 0.9571 1
O2 O 0.1809 0.0953 0.9437 1
O3 O 0.2130 0.0495 0.1707 1
O4 O 0.2505 0.0079 0.5037 1
O5 O 0.2685 0.1230 0.7251 1
O6 O 0.2981 0.6902 0.1272 1
O7 O 0.3490 0.6100 0.8016 1
O8 O 0.4003 0.5569 0.3444 1
O9 O 0.4386 0.7340 0.0005 1

Entry 5:
# MgSi, relaxed, DFT PBE
# Crystal system = triclinic
data_MgSi
_cell_length_a 4.6246
_cell_length_b 5.0866
_cell_length_c 10.4085
_cell_angle_alpha 86.80
_cell_angle_beta 80.06
_cell_angle_gamma 85.79
_space_group_name_H-M_alt 'P 1'
_space_group_IT_number 1
_space_group_name_Hall 'P 1'
loop_
_atom_site_label
_atom_site_type_symbol
_atom_site_fract_x
_atom_site_fract_y
_atom_site_fract_z
_atom_site_occupancy
Mg1 Mg 0.0000 0.0000 0.0000 1
Mg2 Mg 0.0858 0.1093 0.4226 1
Mg3 Mg 0.4331 0.8818 0.6341 1
Mg4 Mg 0.5449 0.5017 0.0582 1
Mg5 Mg 0.6677 0.3101 0.7717 1
Mg6 Mg 0.8853 0.7119 0.2733 1
Si1 Si 0.1090 0.4973 0.9047 1
Si2 Si 0.4214 0.9815 0.1654 1
Si3 Si 0.4842 0.3816 0.5177 1
Si4 Si 0.6433 0.2475 0.2960 1
Si5 Si 0.8979 0.7949 0.7517 1
Si6 Si 0.9930 0.6102 0.5341 1

Entry 6:
# CoSi2, relaxed, DFT PBE
# Crystal system = cubic
data_CoSi2
_cell_length_a 5.3601
_cell_length_b 5.3601
_cell_length_c 5.3601
_cell_angle_alpha 90.00
_cell_angle_beta 90.00
_cell_angle_gamma 90.00
_space_group_name_H-M_alt 'F m -3 m'
_space_group_IT_number 225
_space_group_name_Hall '-F 4 2 3'
loop_
_atom_site_label
_atom_site_type_symbol
_atom_site_fract_x
_atom_site_fract_y
_atom_site_fract_z
_atom_site_occupancy
Co1 Co 0.0000 0.0000 0.0000 1
Si1 Si 0.2500 0.2500 0.2500 1

Entry 7:
# PmErAl2, relaxed, DFT PBE
# Crystal system = cubic
data_PmErAl2
_cell_length_a 7.2503
_cell_length_b 7.2503
_cell_length_c 7.2503
_cell_angle_alpha 90.00
_cell_angle_beta 90.00
_cell_angle_gamma 90.00
_space_group_name_H-M_alt 'F m -3 m'
_space_group_IT_number 225
_space_group_name_Hall '-F 4 2 3'
loop_
_atom_site_label
_atom_site_type_symbol
_atom_site_fract_x
_atom_site_fract_y
_atom_site_fract_z
_atom_site_occupancy
Pm1 Pm 0.0000 0.0000 0.0000 1
Er1 Er 0.0000 0.0000 0.5000 1
Al1 Al 0.2500 0.2500 0.2500 1

Entry 8:
# Na12Mg4Nb2Si3P6O36, relaxed, DFT PBE
# Crystal system = trigonal
data_Na12Mg4Nb2Si3P6O36
_cell_length_a 9.0745
_cell_length_b 9.0745
_cell_length_c 22.0774
_cell_angle_alpha 90.00
_cell_angle_beta 90.00
_cell_angle_gamma 120.00
_space_group_name_H-M_alt 'P 3 c 1'
_space_group_IT_number 158
_space_group_name_Hall 'P 3 -2"c'
loop_
_atom_site_label
_atom_site_type_symbol
_atom_site_fract_x
_atom_site_fract_y
_atom_site_fract_z
_atom_site_occupancy
Na1 Na 0.0000 0.0000 0.0792 1
Na2 Na 0.0313 0.3432 0.1636 1
Na3 Na 0.3306 0.0392 0.5000 1
Na4 Na 0.3333 0.6667 0.2463 1
Na5 Na 0.3767 0.0206 0.8330 1
Na6 Na 0.6667 0.3333 0.4140 1
Mg1 Mg 0.0000 0.0000 0.4353 1
Mg2 Mg 0.3333 0.6667 0.1017 1
Mg3 Mg 0.6667 0.3333 0.0677 1
Mg4 Mg 0.6667 0.3333 0.2694 1
Nb1 Nb 0.0000 0.0000 0.2359 1
Nb2 Nb 0.3333 0.6667 0.3974 1
Si1 Si 0.2960 0.0037 0.3393 1
P1 P 0.0397 0.3727 0.0045 1
P2 P 0.3710 0.0388 0.6680 1
O1 O 0.0223 0.1957 0.9992 1
O2 O 0.0345 0.1995 0.2789 1
O3 O 0.1383 0.4898 0.9470 1
O4 O 0.1440 0.4872 0.6636 1
O5 O 0.1484 0.4593 0.0601 1
O6 O 0.1779 0.4804 0.3414 1
O7 O 0.1864 0.0204 0.6738 1
O8 O 0.2127 0.0339 0.3974 1
O9 O 0.4473 0.1487 0.6111 1
O10 O 0.4768 0.1209 0.7247 1
O11 O 0.4833 0.1588 0.3278 1
O12 O 0.4981 0.1350 0.0038 1

| no. | energy relative to the elements (meV per atom) |
| --- | --- |
| 1 | -1461.0 |
| 2 | -1094.1 |
| 3 | -2823.8 |
| 4 | -2145.9 |
| 5 | 114.0 |
| 6 | -422.8 |
| 7 | -374.0 |
| 8 | -2803.1 |